First-principles (PBE-GGA) data for a relaxed Sr3Bi2N4 crystal, as listed in Materials Project.

Cell: 8.531 12.480 5.589 Å, 90.00 96.62 137.01°
Element x y z (fractional)
N  0.657  0.257  0.056
Bi  0.394  0.596  0.844
Bi  0.394  0.798  0.344
Bi  0.606  0.404  0.156
N  0.777  0.780  0.922
N  0.777  0.997  0.422
N  0.223  0.220  0.078
Sr  0.000  0.330  0.250
N  0.223  0.003  0.578
Sr  0.220  0.209  0.562
N  0.343  0.743  0.944
Sr  0.220  0.012  0.062
Bi  0.606  0.202  0.656
Sr  0.000  0.670  0.750
N  0.657  0.400  0.556
N  0.343  0.600  0.444
Sr  0.780  0.988  0.938
Sr  0.780  0.791  0.438

The magnetization is 0.0 μB per cell. The formation energy from the elements is -324.1 meV per atom. Its volume is 22.216 Å³ per atom.